This record from the Materials Project database describes an optimized crystal structure of Y2GeO5. The functional is r2SCAN.

```
data_Y2GeO5
_chemical_formula_sum 'Y8 Ge4 O20'
_cell_length_a 10.268
_cell_length_b 3.695
_cell_length_c 11.019
_cell_angle_alpha 90.00
_cell_angle_beta 90.00
_cell_angle_gamma 90.00
_space_group_name_H-M_alt 'P n m a'
_space_group_IT_number 62
_space_group_name_Hall '-P 2ac 2n'
loop_
_atom_site_label
_atom_site_type_symbol
_atom_site_fract_x
_atom_site_fract_y
_atom_site_fract_z
Y1 Y 0.108 0.250 0.219
Y2 Y 0.136 0.250 0.556
Ge1 Ge 0.177 0.250 0.878
O1 O 0.008 0.750 0.605
O2 O 0.011 0.250 0.844
O3 O 0.224 0.250 0.036
O4 O 0.230 0.750 0.880
O5 O 0.240 0.750 0.231
```

calculated formation energy = -25.60 eV per formula unit
relative energy among the computed polymorphs = 0.000 eV per atom